[1]
DFT (PBE+U) results for a geometry-optimized Sr4MgV2Fe2As2O6 structure.

Cell lengths 3.9752, 3.9872, 18.3731 Å; angles 90.00, 90.00, 90.00 degrees
Sites, in units of the cell vectors:
Sr: 0.0000 0.0000 0.0000
Sr: 0.0000 0.0000 0.1970
Sr: 0.5000 0.5000 0.6574
Sr: 0.5000 0.5000 0.8565
Mg: 0.5000 0.5000 0.4811
V: 0.0000 0.0000 0.7551
V: 0.5000 0.5000 0.0944
Fe: 0.0000 0.5000 0.3692
Fe: 0.5000 0.0000 0.3688
As: 0.0000 0.0000 0.4959
As: 0.5000 0.5000 0.2806
O: 0.0000 0.0000 0.8643
O: 0.0000 0.5000 0.1064
O: 0.0000 0.5000 0.7363
O: 0.5000 0.0000 0.1059
O: 0.5000 0.0000 0.7358
O: 0.5000 0.5000 0.9843

- ΔH_f (0 K) (meV/atom) = -1812.6
- excess energy over the best structure of this formula in the dataset (kJ per mole of atoms) = 2.55
- symmetry = No. 25
- density (kg/m3) = 4757
- E (MP2020) (eV/f.u.) = -113.29

[2]
DFT (PBE+U) results for a geometry-optimized Sr4MgV2Fe2As2O6 structure.

Cell lengths 3.9428, 4.0453, 19.3853 Å; angles 90.00, 90.00, 90.00 degrees
Sites, in units of the cell vectors:
Sr: 0.0000 0.0000 0.0000
Sr: 0.0000 0.0000 0.1849
Sr: 0.5000 0.5000 0.5043
Sr: 0.5000 0.5000 0.8622
Mg: 0.5000 0.5000 0.6982
V: 0.0000 0.0000 0.7659
V: 0.5000 0.5000 0.0873
Fe: 0.0000 0.5000 0.3484
Fe: 0.5000 0.0000 0.3473
As: 0.0000 0.0000 0.4366
As: 0.5000 0.5000 0.2619
O: 0.0000 0.0000 0.8652
O: 0.0000 0.5000 0.0977
O: 0.0000 0.5000 0.7492
O: 0.5000 0.0000 0.0953
O: 0.5000 0.0000 0.7423
O: 0.5000 0.5000 0.9817

- ΔH_f (0 K) (meV/atom) = -1839.0
- excess energy over the best structure of this formula in the dataset (kJ per mole of atoms) = 0.00
- symmetry = No. 25
- density (kg/m3) = 4480
- E (MP2020) (eV/f.u.) = -113.74

[3]
DFT (PBE+U) results for a geometry-optimized Sr4MgV2Fe2As2O6 structure.

Cell lengths 3.9714, 4.0705, 19.6590 Å; angles 90.00, 90.00, 90.00 degrees
Sites, in units of the cell vectors:
Sr: 0.0000 0.0000 0.0000
Sr: 0.0000 0.0000 0.1803
Sr: 0.5000 0.5000 0.6642
Sr: 0.5000 0.5000 0.8638
Mg: 0.0000 0.5000 0.5062
V: 0.0000 0.0000 0.7714
V: 0.5000 0.5000 0.0854
Fe: 0.0000 0.5000 0.3414
Fe: 0.5000 0.0000 0.3423
As: 0.0000 0.0000 0.4260
As: 0.5000 0.5000 0.2581
O: 0.0000 0.0000 0.8682
O: 0.0000 0.5000 0.0959
O: 0.0000 0.5000 0.6017
O: 0.5000 0.0000 0.0941
O: 0.5000 0.0000 0.7459
O: 0.5000 0.5000 0.9817

- ΔH_f (0 K) (meV/atom) = -1769.3
- excess energy over the best structure of this formula in the dataset (kJ per mole of atoms) = 6.73
- symmetry = No. 25
- density (kg/m3) = 4359
- E (MP2020) (eV/f.u.) = -112.55

[4]
DFT (PBE+U) results for a geometry-optimized Sr4MgV2Fe2As2O6 structure.

Cell lengths 4.1283, 4.1283, 16.2020 Å; angles 90.00, 90.00, 90.00 degrees
Sites, in units of the cell vectors:
Sr: 0.0000 0.5000 0.1172
Sr: 0.0000 0.5000 0.3151
Sr: 0.5000 0.0000 0.6849
Sr: 0.5000 0.0000 0.8828
Mg: 0.0000 0.0000 0.0000
V: 0.0000 0.5000 0.8031
V: 0.5000 0.0000 0.1969
Fe: 0.0000 0.0000 0.5000
Fe: 0.5000 0.5000 0.5000
As: 0.0000 0.5000 0.6019
As: 0.5000 0.0000 0.3981
O: 0.0000 0.0000 0.1965
O: 0.0000 0.0000 0.8035
O: 0.0000 0.5000 0.9514
O: 0.5000 0.0000 0.0486
O: 0.5000 0.5000 0.2076
O: 0.5000 0.5000 0.7924

- ΔH_f (0 K) (meV/atom) = -1732.7
- excess energy over the best structure of this formula in the dataset (kJ per mole of atoms) = 10.26
- symmetry = No. 115
- density (kg/m3) = 5017
- E (MP2020) (eV/f.u.) = -111.93

[5]
DFT (PBE+U) results for a geometry-optimized Na7Fe4As6O24 structure.

Cell lengths 10.2360, 10.2360, 10.2360 Å; angles 86.65, 86.65, 86.65 degrees
Sites, in units of the cell vectors:
Na: 0.0000 0.0000 0.0000
Na: 0.0352 0.2791 0.8404
Na: 0.1596 0.9648 0.7209
Na: 0.2209 0.4648 0.6596
Na: 0.2791 0.8404 0.0352
Na: 0.3404 0.7791 0.5352
Na: 0.4648 0.6596 0.2209
Na: 0.5000 0.5000 0.5000
Na: 0.5352 0.3404 0.7791
Na: 0.6596 0.2209 0.4648
Na: 0.7209 0.1596 0.9648
Na: 0.7791 0.5352 0.3404
Na: 0.8404 0.0352 0.2791
Na: 0.9648 0.7209 0.1596
Fe: 0.0280 0.2500 0.4720
Fe: 0.2500 0.2500 0.2500
Fe: 0.2500 0.4720 0.0280
Fe: 0.4720 0.0280 0.2500
Fe: 0.5280 0.9720 0.7500
Fe: 0.7500 0.5280 0.9720
Fe: 0.7500 0.7500 0.7500
Fe: 0.9720 0.7500 0.5280
As: 0.0484 0.6731 0.8430
As: 0.1570 0.9516 0.3269
As: 0.1731 0.5484 0.3430
As: 0.3269 0.1570 0.9516
As: 0.3430 0.1731 0.5484
As: 0.4516 0.6570 0.8269
As: 0.5484 0.3430 0.1731
As: 0.6570 0.8269 0.4516
As: 0.6731 0.8430 0.0484
As: 0.8269 0.4516 0.6570
As: 0.8430 0.0484 0.6731
As: 0.9516 0.3269 0.1570
O: 0.0210 0.6170 0.3916
O: 0.0752 0.9046 0.2008
O: 0.0904 0.6904 0.6768
O: 0.0954 0.7992 0.9248
O: 0.1084 0.8830 0.4790
O: 0.1170 0.5210 0.8916
O: 0.1220 0.1219 0.3314
O: 0.1219 0.3314 0.1220
O: 0.1686 0.3781 0.3780
O: 0.1768 0.1904 0.5904
O: 0.1904 0.5904 0.1768
O: 0.2008 0.0752 0.9046
O: 0.2992 0.5954 0.4248
O: 0.3096 0.3232 0.9096
O: 0.3232 0.9096 0.3096
O: 0.3314 0.1220 0.1219
O: 0.3780 0.1686 0.3781
O: 0.3781 0.3780 0.1686
O: 0.3830 0.6084 0.9790
O: 0.3916 0.0210 0.6170
O: 0.4046 0.5752 0.7008
O: 0.4096 0.8232 0.8096
O: 0.4248 0.2992 0.5954
O: 0.4790 0.1084 0.8830
O: 0.5210 0.8916 0.1170
O: 0.5752 0.7008 0.4046
O: 0.5904 0.1768 0.1904
O: 0.5954 0.4248 0.2992
O: 0.6084 0.9790 0.3830
O: 0.6170 0.3916 0.0210
O: 0.6219 0.6220 0.8314
O: 0.6220 0.8314 0.6219
O: 0.6686 0.8780 0.8781
O: 0.6768 0.0904 0.6904
O: 0.6904 0.6768 0.0904
O: 0.7008 0.4046 0.5752
O: 0.7992 0.9248 0.0954
O: 0.8096 0.4096 0.8232
O: 0.8232 0.8096 0.4096
O: 0.8314 0.6219 0.6220
O: 0.8781 0.6686 0.8780
O: 0.8780 0.8781 0.6686
O: 0.8830 0.4790 0.1084
O: 0.8916 0.1170 0.5210
O: 0.9046 0.2008 0.0752
O: 0.9096 0.3096 0.3232
O: 0.9248 0.0954 0.7992
O: 0.9790 0.3830 0.6084

- ΔH_f (0 K) (meV/atom) = -1882.3
- symmetry = No. 167
- density (kg/m3) = 3790
- E (MP2020) (eV/f.u.) = -267.02

[6]
DFT (PBE+U) results for a geometry-optimized NdFeAsO structure.

Cell lengths 4.0747, 4.0747, 9.1710 Å; angles 90.00, 90.00, 90.00 degrees
Sites, in units of the cell vectors:
Nd: 0.2500 0.2500 0.1272
Nd: 0.7500 0.7500 0.8728
Fe: 0.2500 0.7500 0.5000
Fe: 0.7500 0.2500 0.5000
As: 0.2500 0.2500 0.6794
As: 0.7500 0.7500 0.3206
O: 0.2500 0.7500 0.0000
O: 0.7500 0.2500 0.0000

- ΔH_f (0 K) (meV/atom) = -1613.0
- symmetry = No. 129
- density (kg/m3) = 6347
- E (MP2020) (eV/f.u.) = -29.30

[7]
DFT (PBE+U) results for a geometry-optimized Nd2FeAs2O structure.

Cell lengths 3.3145, 3.3145, 15.2915 Å; angles 90.00, 90.00, 90.00 degrees
Sites, in units of the cell vectors:
Nd: 0.0000 0.0000 0.1375
Nd: 0.0000 0.0000 0.8625
Fe: 0.0000 0.0000 0.5000
As: 0.0000 0.0000 0.3406
As: 0.0000 0.0000 0.6594
O: 0.0000 0.0000 0.0000

- ΔH_f (0 K) (meV/atom) = -158.4
- symmetry = No. 123
- density (kg/m3) = 5043
- E (MP2020) (eV/f.u.) = -33.22

[8]
DFT (PBE+U) results for a geometry-optimized SrNd3Fe4As4O4 structure.

Cell lengths 10.2977, 10.2977, 10.2977 Å; angles 147.20, 147.20, 47.07 degrees
Sites, in units of the cell vectors:
Sr: 0.0000 0.0000 0.0000
Nd: 0.1241 0.6241 0.5000
Nd: 0.5078 0.5078 0.0000
Nd: 0.6241 0.1241 0.5000
Fe: 0.0652 0.0652 0.5004
Fe: 0.0652 0.5648 0.0000
Fe: 0.5648 0.0652 0.0000
Fe: 0.5648 0.5648 0.4996
As: 0.2289 0.2289 0.0000
As: 0.4006 0.9006 0.5000
As: 0.7294 0.7294 0.0000
As: 0.9006 0.4006 0.5000
O: 0.3236 0.3236 0.5118
O: 0.3236 0.8118 0.0000
O: 0.8118 0.3236 0.0000
O: 0.8118 0.8118 0.4882

- ΔH_f (0 K) (meV/atom) = -1551.8
- symmetry = No. 107
- density (kg/m3) = 5760
- E (MP2020) (eV/f.u.) = -113.13

[9]
DFT (PBE+U) results for a geometry-optimized Fe3As2O8 structure.

Cell lengths 8.6004, 8.6004, 4.8087 Å; angles 96.55, 96.55, 109.68 degrees
Sites, in units of the cell vectors:
Fe: 0.0000 0.0000 0.0000
Fe: 0.4005 0.5995 0.0000
Fe: 0.5995 0.4005 0.0000
As: 0.3114 0.3114 0.3714
As: 0.6886 0.6886 0.6286
O: 0.1324 0.1324 0.3344
O: 0.2514 0.4625 0.2335
O: 0.3755 0.3755 0.7311
O: 0.4625 0.2514 0.2335
O: 0.5375 0.7486 0.7665
O: 0.6245 0.6245 0.2689
O: 0.7486 0.5375 0.7665
O: 0.8676 0.8676 0.6656

- ΔH_f (0 K) (meV/atom) = -1416.5
- symmetry = No. 12
- density (kg/m3) = 2253
- E (MP2020) (eV/f.u.) = -92.73

[10]
DFT (PBE+U) results for a geometry-optimized Fe4As3O16 structure.

Cell lengths 7.9116, 7.9116, 7.9116 Å; angles 90.00, 90.00, 90.00 degrees
Sites, in units of the cell vectors:
Fe: 0.1364 0.1364 0.1364
Fe: 0.1364 0.8636 0.8636
Fe: 0.8636 0.1364 0.8636
Fe: 0.8636 0.8636 0.1364
As: 0.0000 0.0000 0.5000
As: 0.0000 0.5000 0.0000
As: 0.5000 0.0000 0.0000
O: 0.1156 0.1156 0.8844
O: 0.1156 0.8844 0.1156
O: 0.1281 0.1281 0.3785
O: 0.1281 0.3785 0.1281
O: 0.1281 0.6215 0.8719
O: 0.1281 0.8719 0.6215
O: 0.3785 0.1281 0.1281
O: 0.3785 0.8719 0.8719
O: 0.6215 0.1281 0.8719
O: 0.6215 0.8719 0.1281
O: 0.8719 0.1281 0.6215
O: 0.8719 0.3785 0.8719
O: 0.8719 0.6215 0.1281
O: 0.8719 0.8719 0.3785
O: 0.8844 0.1156 0.1156
O: 0.8844 0.8844 0.8844

- ΔH_f (0 K) (meV/atom) = -1354.1
- symmetry = No. 215
- density (kg/m3) = 2361
- E (MP2020) (eV/f.u.) = -158.17

[11]
DFT (PBE+U) results for a geometry-optimized FeAsO6 structure.

Cell lengths 8.7488, 8.7488, 10.1012 Å; angles 90.00, 90.00, 120.00 degrees
Sites, in units of the cell vectors:
Fe: 0.0000 0.0000 0.0000
Fe: 0.0000 0.0000 0.5000
Fe: 0.3333 0.6667 0.3077
Fe: 0.3333 0.6667 0.8077
Fe: 0.6667 0.3333 0.1923
Fe: 0.6667 0.3333 0.6923
As: 0.0000 0.2734 0.2500
As: 0.0000 0.7266 0.7500
As: 0.2734 0.0000 0.2500
As: 0.2734 0.2734 0.7500
As: 0.7266 0.0000 0.7500
As: 0.7266 0.7266 0.2500
O: 0.0779 0.2078 0.3835
O: 0.0779 0.8701 0.8835
O: 0.1299 0.2078 0.8835
O: 0.1299 0.9221 0.3835
O: 0.1771 0.4709 0.1988
O: 0.1771 0.7062 0.6988
O: 0.1776 0.5361 0.9305
O: 0.1776 0.6415 0.4305
O: 0.2078 0.0779 0.1165
O: 0.2078 0.1299 0.6165
O: 0.2938 0.4709 0.6988
O: 0.2938 0.8229 0.1988
O: 0.3585 0.5361 0.4305
O: 0.3585 0.8224 0.9305
O: 0.4639 0.6415 0.9305
O: 0.4639 0.8224 0.4305
O: 0.4709 0.1771 0.3012
O: 0.4709 0.2938 0.8012
O: 0.5291 0.7062 0.1988
O: 0.5291 0.8229 0.6988
O: 0.5361 0.1776 0.5695
O: 0.5361 0.3585 0.0695
O: 0.6415 0.1776 0.0695
O: 0.6415 0.4639 0.5695
O: 0.7062 0.1771 0.8012
O: 0.7062 0.5291 0.3012
O: 0.7922 0.8701 0.3835
O: 0.7922 0.9221 0.8835
O: 0.8224 0.3585 0.5695
O: 0.8224 0.4639 0.0695
O: 0.8229 0.2938 0.3012
O: 0.8229 0.5291 0.8012
O: 0.8701 0.0779 0.6165
O: 0.8701 0.7922 0.1165
O: 0.9221 0.1299 0.1165
O: 0.9221 0.7922 0.6165

- ΔH_f (0 K) (meV/atom) = -873.6
- excess energy over the best structure of this formula in the dataset (kJ per mole of atoms) = 6.98
- symmetry = No. 165
- density (kg/m3) = 3374
- E (MP2020) (eV/f.u.) = -49.81

[12]
DFT (PBE+U) results for a geometry-optimized FeAsO6 structure.

Cell lengths 9.7162, 9.7627, 11.1006 Å; angles 90.00, 90.00, 90.00 degrees
Sites, in units of the cell vectors:
Fe: 0.0951 0.2178 0.1054
Fe: 0.0951 0.2822 0.6054
Fe: 0.4049 0.7178 0.1054
Fe: 0.4049 0.7822 0.6054
Fe: 0.5951 0.2178 0.3946
Fe: 0.5951 0.2822 0.8946
Fe: 0.9049 0.7178 0.3946
Fe: 0.9049 0.7822 0.8946
As: 0.0683 0.6439 0.6485
As: 0.0683 0.8561 0.1485
As: 0.4317 0.1439 0.6485
As: 0.4317 0.3561 0.1485
As: 0.5683 0.6439 0.8515
As: 0.5683 0.8561 0.3515
As: 0.9317 0.1439 0.8515
As: 0.9317 0.3561 0.3515
O: 0.0317 0.6845 0.7955
O: 0.0317 0.8155 0.2955
O: 0.0505 0.2294 0.9382
O: 0.0505 0.2706 0.4382
O: 0.0571 0.0296 0.1306
O: 0.0571 0.4704 0.6306
O: 0.1342 0.5525 0.1786
O: 0.1342 0.9475 0.6786
O: 0.2074 0.5667 0.2689
O: 0.2074 0.9333 0.7689
O: 0.2316 0.6932 0.6089
O: 0.2316 0.8068 0.1089
O: 0.2684 0.1932 0.6089
O: 0.2684 0.3068 0.1089
O: 0.2926 0.0667 0.2689
O: 0.2926 0.4333 0.7689
O: 0.3658 0.0525 0.1786
O: 0.3658 0.4475 0.6786
O: 0.4429 0.5296 0.1306
O: 0.4429 0.9704 0.6306
O: 0.4495 0.7294 0.9382
O: 0.4495 0.7706 0.4382
O: 0.4683 0.1845 0.7955
O: 0.4683 0.3155 0.2955
O: 0.5317 0.6845 0.7045
O: 0.5317 0.8155 0.2045
O: 0.5505 0.2294 0.5618
O: 0.5505 0.2706 0.0618
O: 0.5571 0.0296 0.3694
O: 0.5571 0.4704 0.8694
O: 0.6342 0.5525 0.3214
O: 0.6342 0.9475 0.8214
O: 0.7074 0.5667 0.2311
O: 0.7074 0.9333 0.7311
O: 0.7316 0.6932 0.8911
O: 0.7316 0.8068 0.3911
O: 0.7684 0.1932 0.8911
O: 0.7684 0.3068 0.3911
O: 0.7926 0.0667 0.2311
O: 0.7926 0.4333 0.7311
O: 0.8658 0.0525 0.3214
O: 0.8658 0.4475 0.8214
O: 0.9429 0.5296 0.3694
O: 0.9429 0.9704 0.8694
O: 0.9495 0.7294 0.5618
O: 0.9495 0.7706 0.0618
O: 0.9683 0.1845 0.7045
O: 0.9683 0.3155 0.2045

- ΔH_f (0 K) (meV/atom) = -945.9
- excess energy over the best structure of this formula in the dataset (kJ per mole of atoms) = 0.00
- symmetry = No. 61
- density (kg/m3) = 2861
- E (MP2020) (eV/f.u.) = -50.38

density of number 9 (Fe3As2O8)?
2253 kg/m3

Copy entry 6 word for word.
DFT (PBE+U) results for a geometry-optimized NdFeAsO structure.

Cell lengths 4.0747, 4.0747, 9.1710 Å; angles 90.00, 90.00, 90.00 degrees
Sites, in units of the cell vectors:
Nd: 0.2500 0.2500 0.1272
Nd: 0.7500 0.7500 0.8728
Fe: 0.2500 0.7500 0.5000
Fe: 0.7500 0.2500 0.5000
As: 0.2500 0.2500 0.6794
As: 0.7500 0.7500 0.3206
O: 0.2500 0.7500 0.0000
O: 0.7500 0.2500 0.0000

- ΔH_f (0 K) (meV/atom) = -1613.0
- symmetry = No. 129
- density (kg/m3) = 6347
- E (MP2020) (eV/f.u.) = -29.30

Which value of density does entry 4 give?
5017 kg/m3

What did the ninth record say?
DFT (PBE+U) results for a geometry-optimized Fe3As2O8 structure.

Cell lengths 8.6004, 8.6004, 4.8087 Å; angles 96.55, 96.55, 109.68 degrees
Sites, in units of the cell vectors:
Fe: 0.0000 0.0000 0.0000
Fe: 0.4005 0.5995 0.0000
Fe: 0.5995 0.4005 0.0000
As: 0.3114 0.3114 0.3714
As: 0.6886 0.6886 0.6286
O: 0.1324 0.1324 0.3344
O: 0.2514 0.4625 0.2335
O: 0.3755 0.3755 0.7311
O: 0.4625 0.2514 0.2335
O: 0.5375 0.7486 0.7665
O: 0.6245 0.6245 0.2689
O: 0.7486 0.5375 0.7665
O: 0.8676 0.8676 0.6656

- ΔH_f (0 K) (meV/atom) = -1416.5
- symmetry = No. 12
- density (kg/m3) = 2253
- E (MP2020) (eV/f.u.) = -92.73